Record 1
CaGaGeH | the Materials Project | PBE-GGA | relaxed; symmetry = P3m1; E = -3.6879 eV/atom; E (MP2020) = -3.733 eV/atom; formation enthalpy at 0 K = -470 meV per atom; maximum piezoelectric response = 0.62 C/m2
1.0
-2.842 0.486 2.989
1.327 -3.805 -1.004
3.497 0.357 3.267
Ca Ga Ge H
1 1 1 1
direct
0.333 0.667 0.000
0.000 0.000 0.565
0.667 0.333 0.424
0.000 0.000 0.929



Record 2
Ca3Ga3Ge3O14 | the Materials Project | PBE-GGA | relaxed; symmetry = P321; E = -6.3580 eV/atom; E (MP2020) = -6.776 eV/atom; formation enthalpy at 0 K = -2505 meV per atom
1.0
4.118 -7.133 0.000
4.118 7.133 0.000
0.000 0.000 5.038
Ca Ga Ge O
3 3 3 14
direct
0.578 0.000 0.000
0.000 0.578 0.000
0.422 0.422 0.000
0.242 0.000 0.500
0.000 0.242 0.500
0.758 0.758 0.500
0.333 0.667 0.541
0.667 0.333 0.459
0.000 0.000 0.000
0.464 0.147 0.304
0.853 0.317 0.304
0.147 0.464 0.696
0.683 0.536 0.304
0.317 0.853 0.696
0.536 0.683 0.696
0.137 0.215 0.229
0.785 0.922 0.229
0.215 0.137 0.771
0.078 0.863 0.229
0.922 0.785 0.771
0.863 0.078 0.771
0.333 0.667 0.196
0.667 0.333 0.804



Record 3
Ca3Ga2Ge4O14 | the Materials Project | PBE-GGA | relaxed; symmetry = C2; E = -6.4919 eV/atom; E (MP2020) = -6.910 eV/atom; formation enthalpy at 0 K = -2569 meV per atom
1.0
4.092 7.084 0.000
-4.092 7.084 0.000
0.000 0.053 5.028
Ca Ga Ge O
3 2 4 14
direct
0.579 0.997 0.999
0.003 0.421 0.001
0.415 0.585 0.000
0.238 0.998 0.505
0.002 0.762 0.495
0.761 0.239 0.500
0.006 0.994 0.000
0.668 0.668 0.531
0.332 0.332 0.469
0.780 0.083 0.758
0.071 0.141 0.774
0.138 0.785 0.769
0.917 0.220 0.242
0.215 0.862 0.231
0.859 0.929 0.226
0.667 0.665 0.188
0.335 0.333 0.812
0.543 0.314 0.316
0.318 0.147 0.309
0.151 0.535 0.305
0.686 0.457 0.684
0.465 0.849 0.695
0.853 0.682 0.691



Record 4
CaGaH5 | the Materials Project | PBE-GGA | relaxed; symmetry = P2_1; E = -3.3191 eV/atom; E (MP2020) = -3.447 eV/atom; formation enthalpy at 0 K = -305 meV per atom; maximum piezoelectric response = 0.14 C/m2
1.0
-2.932 3.133 0.949
-2.875 -4.038 4.446
3.358 1.414 5.709
Ca Ga H
2 2 10
direct
0.000 0.830 0.668
0.500 0.170 0.332
0.242 0.714 0.202
0.742 0.286 0.798
0.077 0.680 0.001
0.577 0.320 0.999
0.499 0.880 0.583
0.999 0.120 0.417
0.449 0.518 0.289
0.949 0.482 0.711
0.448 0.917 0.144
0.948 0.083 0.856
0.986 0.737 0.361
0.486 0.263 0.639



Record 5
Ca6Ga6Si3H2O24 | the Materials Project | PBE-GGA | relaxed; symmetry = P1; E = -6.4242 eV/atom; E (MP2020) = -6.826 eV/atom; formation enthalpy at 0 K = -2631 meV per atom
1.0
-1.353 -1.222 -7.577
4.578 -5.857 2.885
-17.151 -6.563 6.757
Ca Ga Si H O
12 12 6 4 48
direct
0.901 0.902 0.096
0.481 0.474 0.239
0.674 0.978 0.334
0.145 0.133 0.573
0.337 0.644 0.669
0.954 0.652 0.332
0.574 0.560 0.429
0.800 0.802 0.902
0.623 0.322 0.668
0.236 0.228 0.763
0.997 0.284 0.000
0.286 0.002 0.999
0.416 0.672 0.082
0.007 0.256 0.247
0.667 0.421 0.087
0.744 0.251 0.499
0.410 0.911 0.835
0.251 0.999 0.250
0.754 0.000 0.749
0.582 0.084 0.166
0.912 0.671 0.586
0.259 0.750 0.500
0.579 0.333 0.918
0.925 0.423 0.833
0.087 0.586 0.167
0.085 0.328 0.417
0.670 0.919 0.582
0.319 0.077 0.416
0.333 0.581 0.916
0.996 0.749 0.750
0.658 0.306 0.329
0.232 0.230 0.115
0.328 0.974 0.665
0.987 0.653 0.993
0.735 0.749 0.276
0.445 0.911 0.088
0.088 0.795 0.186
0.927 0.473 0.098
0.675 0.434 0.337
0.286 0.573 0.152
0.043 0.497 0.239
0.641 0.643 0.096
0.744 0.481 0.520
0.955 0.239 0.339
0.545 0.134 0.423
0.337 0.099 0.666
0.969 0.245 0.477
0.147 0.146 0.075
0.570 0.308 0.157
0.703 0.132 0.574
0.276 0.273 0.426
0.224 0.217 0.242
0.494 0.037 0.248
0.610 0.891 0.658
0.219 0.787 0.755
0.208 0.947 0.340
0.822 0.084 0.183
0.624 0.888 0.812
0.791 0.805 0.396
0.241 0.968 0.478
0.972 0.948 0.755
0.359 0.792 0.910
0.864 0.884 0.575
0.157 0.722 0.578
0.271 0.546 0.992
0.000 0.781 0.001
0.881 0.615 0.674
0.507 0.774 0.518
0.171 0.437 0.851
0.489 0.691 0.338
0.392 0.412 0.605
0.453 0.468 0.725
0.151 0.551 0.426
0.912 0.644 0.812
0.527 0.545 0.908
0.828 0.392 0.913
0.552 0.263 0.003
0.151 0.352 0.664
0.063 0.069 0.924
0.811 0.245 0.753
0.414 0.145 0.848
0.781 0.997 0.998



Record 6
CaGaSiH | the Materials Project | PBE-GGA | relaxed; symmetry = P3m1; E = -3.8336 eV/atom; E (MP2020) = -3.878 eV/atom; formation enthalpy at 0 K = -415 meV per atom
1.0
0.049 3.768 -1.592
-1.822 -3.053 -2.024
-4.104 0.986 2.207
Ca Ga Si H
1 1 1 1
direct
0.000 0.000 0.000
0.667 0.333 0.557
0.333 0.667 0.434
0.667 0.333 0.925



Record 7
Ca3In2Ga4 | the Materials Project | PBE-GGA | relaxed; symmetry = P3m1; E = -3.0818 eV/atom; formation enthalpy at 0 K = -456 meV per atom
1.0
2.339 -4.052 0.000
2.339 4.052 0.000
0.000 0.000 22.731
Ca In Ga
6 4 8
direct
0.000 0.000 0.255
0.000 0.000 0.587
0.000 0.000 0.920
0.000 0.000 0.079
0.000 0.000 0.416
0.000 0.000 0.749
0.667 0.333 0.185
0.667 0.333 0.514
0.667 0.333 0.847
0.333 0.667 0.149
0.333 0.667 0.481
0.333 0.667 0.814
0.333 0.667 0.014
0.333 0.667 0.349
0.333 0.667 0.682
0.667 0.333 0.320
0.667 0.333 0.653
0.667 0.333 0.986



Record 8
CaLaGaO4 | the Materials Project | PBE-GGA | relaxed; symmetry = I4mm; E = -6.9780 eV/atom; E (MP2020) = -7.371 eV/atom; formation enthalpy at 0 K = -3119 meV per atom; E above lowest polymorph = 105 meV/atom
1.0
2.352 4.966 3.923
0.447 6.678 -0.885
-3.876 -5.512 -0.427
Ca La Ga O
1 1 1 4
direct
0.641 0.641 0.000
0.356 0.356 0.000
0.009 0.009 0.000
0.998 0.498 0.500
0.498 0.998 0.500
0.827 0.827 0.000
0.170 0.170 0.000



- Look up the E of the fifth one.
  -6.4242 eV/atom



- formation enthalpy at 0 K of number 6 (CaGaSiH)?
  -415 meV per atom



- What is the formula in the first record?
  CaGaGeH



- The highest formation enthalpy at 0 K belongs to which entry?
  CaGaH5